No. 1
! Sm2Mo2O7, optimized geometry, DFT PBE with a Hubbard U; values from VASP
&SYSTEM
  ibrav = 0, nat = 44, ntyp = 3
/
ATOMIC_SPECIES
Sm 150.36 Sm.upf
Mo 95.94 Mo.upf
O 16.00 O.upf
ATOMIC_POSITIONS angstrom
Sm 3.6189 3.7490 5.1725
Sm 0.0000 3.8625 10.3904
Sm 1.8136 1.8906 2.6049
Sm 0.0000 0.0435 0.0282
Sm 3.6189 7.5680 5.2461
Sm 1.8053 5.7209 7.8228
Sm 5.4325 5.7209 7.8228
Sm 5.4241 1.8906 2.6049
Mo 3.6189 3.9114 0.1910
Mo 1.8105 1.9173 7.8297
Mo 0.0000 7.5062 5.0344
Mo 3.6189 0.1053 10.2523
Mo 1.8083 5.6942 2.6118
Mo 5.4294 5.6942 2.6118
Mo 0.0000 3.7001 5.4089
Mo 5.4272 1.9173 7.8297
O 3.6189 1.6107 8.9913
O 1.4667 0.1140 6.4613
O 3.6189 5.8902 9.4102
O 3.6189 5.3653 1.4870
O 1.4768 3.9069 3.9470
O 1.8012 3.8631 1.3482
O 5.4366 3.8631 1.3482
O 1.8177 3.7484 6.5661
O 3.6189 1.8085 6.5846
O 0.0000 1.7213 4.1924
O 0.0000 1.9954 9.0940
O 1.8167 0.0878 9.0583
O 5.4211 0.0878 9.0583
O 5.7711 0.1140 6.4613
O 1.8022 7.5237 3.8404
O 5.0856 7.4975 1.2434
O 2.1522 7.4975 1.2434
O 0.0000 6.0008 3.7734
O 0.0000 5.8030 1.3668
O 0.0000 5.5285 6.2949
O 3.6189 5.6161 3.8761
O 5.7610 3.9069 3.9470
O 2.1421 3.7046 9.1649
O 5.0957 3.7046 9.1649
O 5.4201 3.7484 6.5661
O 0.0000 2.2462 6.7049
O 3.6189 2.0830 1.0770
O 5.4356 7.5237 3.8404
CELL_PARAMETERS angstrom
7.2378 0.0000 0.0000
0.0000 7.6115 0.0000
0.0000 0.0000 10.4358
! space-group type = No. 31
! crystal system = orthorhombic
! VASP energy = -0.2748 Ha/atom
! calculated formation energy = -2.52 eV/atom
! energy above the lowest structure with this stoichiometry = 4.00 eV per formula unit


No. 2
! SmMo5O8, optimized geometry, DFT PBE with a Hubbard U; values from VASP
&SYSTEM
  ibrav = 0, nat = 56, ntyp = 3
/
ATOMIC_SPECIES
Sm 150.36 Sm.upf
Mo 95.94 Mo.upf
O 16.00 O.upf
ATOMIC_POSITIONS angstrom
Sm 0.1381 5.9609 0.3896
Sm 4.7771 4.1925 4.6852
Sm 9.1400 5.9597 9.7600
Sm 4.5009 7.7282 5.4643
Mo 3.2856 8.5830 0.7930
Mo 7.9246 1.5704 4.2818
Mo 5.9924 3.3377 9.3566
Mo 1.3534 10.3502 5.8677
Mo 3.3454 4.4335 7.8364
Mo 7.9844 9.2543 7.3879
Mo 5.9327 7.4871 2.3131
Mo 1.2937 2.6663 2.7616
Mo 3.4812 9.7759 8.7652
Mo 8.1202 3.9119 6.4590
Mo 5.7969 2.1447 1.3843
Mo 1.1578 8.0087 3.6905
Mo 3.3488 5.6808 1.9138
Mo 7.9878 4.4726 3.1610
Mo 5.9293 6.2398 8.2357
Mo 1.2903 7.4481 6.9886
Mo 3.2640 6.7468 9.9670
Mo 7.9030 6.9411 5.2573
Mo 6.0141 5.1738 0.1825
Mo 1.3750 4.9796 4.8922
O 4.6578 7.9272 8.7866
O 0.0187 5.7607 6.4377
O 4.6203 3.9935 1.3630
O 9.2593 6.1599 3.7118
O 2.6175 4.2997 3.3147
O 7.2565 5.8537 1.7601
O 6.6605 7.6209 6.8348
O 2.0215 6.0669 8.3895
O 2.7253 9.0531 6.9231
O 7.3644 4.6347 8.3012
O 6.5527 2.8675 3.2265
O 1.9137 7.2859 1.8483
O 2.6865 3.6785 5.9857
O 7.3255 10.0094 9.2386
O 6.5916 8.2422 4.1639
O 1.9525 1.9112 0.9109
O 2.3272 6.8652 5.1715
O 6.9662 6.8227 10.0528
O 6.9508 5.0555 4.9780
O 2.3118 5.0979 0.0968
O 4.7437 2.8207 7.8006
O 0.1047 10.8672 7.4237
O 4.5343 9.0999 2.3490
O 9.1733 1.0535 2.7258
O 9.2714 8.0032 8.6674
O 4.6323 5.6847 6.5569
O 0.0067 3.9175 1.4821
O 4.6457 6.2359 3.5927
O 2.3455 11.5100 9.2006
O 6.9846 2.1779 6.0237
O 6.9325 0.4106 0.9489
O 2.2935 9.7428 4.1259
CELL_PARAMETERS angstrom
9.2780 0.0000 0.0000
0.0000 8.3862 0.0000
0.0000 3.5345 10.1495
! space-group type = No. 14
! crystal system = monoclinic
! VASP energy = -0.2682 Ha/atom
! calculated formation energy = -1.80 eV/atom


No. 3
! Sm2Mo3O12, optimized geometry, DFT PBE with a Hubbard U; values from VASP
&SYSTEM
  ibrav = 0, nat = 34, ntyp = 3
/
ATOMIC_SPECIES
Sm 150.36 Sm.upf
Mo 95.94 Mo.upf
O 16.00 O.upf
ATOMIC_POSITIONS angstrom
Sm 8.5254 -9.9362 2.6294
Sm 4.5296 -6.5977 1.8446
Sm 7.3631 -3.7119 1.0045
Sm 3.3672 -0.3734 0.2198
Mo 6.6955 -1.0056 -1.7314
Mo 4.2106 -2.8259 3.1402
Mo 5.1971 -9.3040 4.5805
Mo 7.6820 -7.4837 -0.2911
Mo 3.9522 -4.0824 -0.8707
Mo 7.9404 -6.2273 3.7198
O 3.5468 -7.1408 -0.3639
O 4.5857 -4.9498 -2.2811
O 6.0009 -2.5149 2.5952
O 10.8469 -9.2839 3.2075
O 9.5844 -6.3272 6.3773
O 6.6569 -2.6548 -1.0092
O 8.1570 -7.9944 4.1652
O 2.3082 -3.9824 -3.5282
O 8.4374 -7.9869 1.2643
O 4.0574 -4.5805 3.2072
O 2.3156 -4.6628 -0.5128
O 5.2357 -7.6548 3.8583
O 7.3069 -5.3598 5.1303
O 7.8352 -5.7292 -0.3581
O 3.4553 -2.3228 1.5848
O 5.0610 -4.5616 0.5110
O 5.7020 -0.1665 -0.3503
O 8.3458 -3.1689 3.2130
O 1.0458 -1.0258 -0.3583
O 3.7356 -2.3152 -1.3160
O 6.8316 -5.7481 2.3381
O 9.5770 -5.6468 3.3620
O 6.1907 -10.1431 3.1994
O 5.8918 -7.7948 0.2539
CELL_PARAMETERS angstrom
0.4638 -5.1669 -4.7340
6.1806 3.0857 1.2654
5.2481 -8.2284 6.3177
! space-group type = No. 15
! crystal system = monoclinic
! VASP energy = -0.2770 Ha/atom
! calculated formation energy = -2.63 eV/atom


- Among the records above, which one has the lowest VASP energy?
  Sm2Mo3O12


- What is the calculated formation energy in the third record?
  -2.63 eV/atom


- What is the calculated formation energy in the third record?
  -2.63 eV/atom